The following is a DFT calculation (GGA+U) of a relaxed Li7Co5O12 crystal.

```
data_Li7Co5O12
_symmetry_space_group_name_H-M 'P 1'
_symmetry_Int_Tables_number 1
_cell_length_a 5.1761
_cell_length_b 5.1761
_cell_length_c 14.8448
_cell_angle_alpha 78.01
_cell_angle_beta 78.01
_cell_angle_gamma 33.67
loop_
_symmetry_equiv_pos_as_xyz
'x,y,z'
loop_
_atom_site_label
_atom_site_fract_x
_atom_site_fract_y
_atom_site_fract_z
Li1 0.2521 0.2521 0.2491
O1 0.3860 0.3860 0.1281
Li2 0.7517 0.7517 0.0821
O2 0.6158 0.6158 0.5458
O3 0.3870 0.3870 0.7886
O4 0.8894 0.8894 0.2840
O5 0.8834 0.8834 0.6216
Li3 0.2483 0.2483 0.9179
O6 0.3842 0.3842 0.4542
Co1 0.0008 0.0008 0.8404
Co2 0.4999 0.4999 0.6684
Co3 0.5001 0.5001 0.3316
Co4 0.0000 0.0000 0.5000
O7 0.1169 0.1169 0.0536
O8 0.1106 0.1106 0.7160
O9 0.6140 0.6140 0.8719
O10 0.6130 0.6130 0.2114
Li4 0.2504 0.2504 0.5833
Li5 0.5000 0.5000 0.0000
O11 0.8831 0.8831 0.9464
O12 0.1166 0.1166 0.3784
Li6 0.7496 0.7496 0.4167
Co5 0.9992 0.9992 0.1596
Li7 0.7479 0.7479 0.7509
```

- Total DFT energy (no corrections): -5.49 eV per atom
- Total moment: 6.00 μB/f.u.
- Excess energy over the best structure of this formula in the dataset: 97 meV per atom
- Space group: No. 12